No. 1
Density functional theory data (PBE with a Hubbard U) for a geometry-optimized K4MnMo4O15 structure.

Results
DFT formation energy (eV per atom): -2.154
ρ (Mg/m³): 3.43
Energy with MP2020 corrections (eV per atom): -7.62
Symmetry: P-3 (147)

Cell and atoms, written as POSCAR:
```
K4MnMo4O15
1.0
10.5686 0.0000 0.0000
-5.2843 9.1527 0.0000
0.0000 0.0000 8.3569
K Mn Mo O
8 2 8 30
Direct
0.0000 0.0000 0.0000 K
0.0000 0.0000 0.5000 K
0.0883 0.3931 0.3597 K
0.3048 0.9117 0.3597 K
0.3931 0.3048 0.6403 K
0.6069 0.6952 0.3597 K
0.6952 0.0883 0.6403 K
0.9117 0.6069 0.6403 K
0.3333 0.6667 0.0334 Mn
0.6667 0.3333 0.9666 Mn
0.0171 0.3420 0.8602 Mo
0.3249 0.9829 0.8602 Mo
0.3333 0.6667 0.6422 Mo
0.3420 0.3249 0.1398 Mo
0.6580 0.6751 0.8602 Mo
0.6667 0.3333 0.3578 Mo
0.6751 0.0171 0.1398 Mo
0.9829 0.6580 0.1398 Mo
0.0073 0.2184 0.7087 O
0.0168 0.2752 0.0536 O
0.1427 0.6367 0.1604 O
0.1775 0.6574 0.5496 O
0.1865 0.5208 0.8377 O
0.2111 0.9927 0.7087 O
0.2184 0.2111 0.2913 O
0.2584 0.9832 0.0536 O
0.2752 0.2584 0.9464 O
0.3343 0.8135 0.8377 O
0.3426 0.5201 0.5496 O
0.3633 0.5059 0.1604 O
0.4792 0.6657 0.8377 O
0.4799 0.8225 0.5496 O
0.4941 0.8573 0.1604 O
0.5059 0.1427 0.8396 O
0.5201 0.1775 0.4504 O
0.5208 0.3343 0.1623 O
0.6367 0.4941 0.8396 O
0.6574 0.4799 0.4504 O
0.6657 0.1865 0.1623 O
0.7248 0.7416 0.0536 O
0.7416 0.0168 0.9464 O
0.7816 0.7889 0.7087 O
0.7889 0.0073 0.2913 O
0.8135 0.4792 0.1623 O
0.8225 0.3426 0.4504 O
0.8573 0.3633 0.8396 O
0.9832 0.7248 0.9464 O
0.9927 0.7816 0.2913 O
```



No. 2
Density functional theory data (PBE with a Hubbard U) for a geometry-optimized Li7Mn5O12 structure.

Results
DFT formation energy (eV per atom): -2.135
Relative energy among the computed polymorphs (eV per atom): 0.022
ρ (Mg/m³): 3.85
Energy with MP2020 corrections (eV per atom): -7.07
Symmetry: P-1 (2)

Cell and atoms, written as POSCAR:
```
Li7Mn5O12
1.0
6.0570 0.0000 0.0000
-1.9657 7.5629 0.0000
-0.4995 -3.0166 9.6959
Li Mn O
14 10 24
Direct
0.0000 0.0000 0.0000 Li
0.0715 0.3432 0.2581 Li
0.0901 0.3291 0.7431 Li
0.2534 0.0068 0.2543 Li
0.2706 0.9863 0.7341 Li
0.3962 0.6932 0.2710 Li
0.4118 0.6687 0.7482 Li
0.5000 0.0000 0.5000 Li
0.5882 0.3313 0.2518 Li
0.6038 0.3068 0.7290 Li
0.7294 0.0137 0.2659 Li
0.7466 0.9932 0.7457 Li
0.9099 0.6709 0.2569 Li
0.9285 0.6568 0.7419 Li
0.0000 0.0000 0.5000 Mn
0.1603 0.6716 0.0023 Mn
0.1657 0.6718 0.5041 Mn
0.3303 0.3293 0.0006 Mn
0.3416 0.3265 0.4963 Mn
0.5000 0.0000 0.0000 Mn
0.6584 0.6735 0.5037 Mn
0.6697 0.6707 0.9994 Mn
0.8343 0.3282 0.4959 Mn
0.8397 0.3284 0.9977 Mn
0.0321 0.1953 0.8966 O
0.0579 0.1565 0.3791 O
0.1104 0.5021 0.1170 O
0.1108 0.5013 0.6172 O
0.1820 0.8447 0.3939 O
0.2191 0.8308 0.8877 O
0.2791 0.1684 0.6174 O
0.3205 0.1550 0.1015 O
0.3610 0.5207 0.9029 O
0.3857 0.4999 0.3809 O
0.4389 0.8387 0.1195 O
0.4411 0.8256 0.6209 O
0.5589 0.1744 0.3791 O
0.5611 0.1613 0.8805 O
0.6143 0.5001 0.6191 O
0.6390 0.4793 0.0971 O
0.6795 0.8450 0.8985 O
0.7209 0.8316 0.3826 O
0.7809 0.1692 0.1123 O
0.8180 0.1553 0.6061 O
0.8892 0.4987 0.3828 O
0.8896 0.4979 0.8830 O
0.9421 0.8435 0.6209 O
0.9679 0.8047 0.1034 O
```



No. 3
Density functional theory data (PBE with a Hubbard U) for a geometry-optimized Li3MnP2O8 structure.

Results
DFT formation energy (eV per atom): -2.596
Relative energy among the computed polymorphs (eV per atom): 0.007
ρ (Mg/m³): 3.06
Energy with MP2020 corrections (eV per atom): -7.26

Cell and atoms, written as POSCAR:
```
Li3MnP2O8
1.0
0.3759 4.3404 1.9919
6.9360 -4.5817 8.3595
8.0784 2.3488 -5.8220
O Li P Mn
32 12 8 4
Direct
0.7844 0.7766 0.6572 O
0.7366 0.9904 0.1630 O
0.7502 0.7823 0.1758 O
0.1990 0.1250 0.5551 O
0.2635 0.0096 0.8370 O
0.7172 0.6243 0.8826 O
0.8010 0.8750 0.4449 O
0.7551 0.1221 0.4155 O
0.2827 0.3757 0.1173 O
0.8012 0.3750 0.4448 O
0.2118 0.5149 0.3439 O
0.2449 0.3778 0.5846 O
0.7367 0.4904 0.1630 O
0.2154 0.2234 0.3427 O
0.7882 0.4850 0.6561 O
0.6870 0.8695 0.9531 O
0.7174 0.1242 0.8828 O
0.7551 0.6221 0.4155 O
0.2633 0.5096 0.8370 O
0.7503 0.2824 0.1758 O
0.1988 0.6250 0.5552 O
0.2117 0.0149 0.3438 O
0.3132 0.1305 0.0469 O
0.7883 0.9851 0.6562 O
0.7846 0.2765 0.6572 O
0.6870 0.3695 0.9531 O
0.2449 0.8779 0.5845 O
0.3132 0.6305 0.0468 O
0.2827 0.8757 0.1173 O
0.2154 0.7235 0.3428 O
0.2499 0.2176 0.8242 O
0.2497 0.7177 0.8242 O
0.0997 0.8711 0.9358 Li
0.0997 0.3713 0.9357 Li
0.5123 0.8738 0.7726 Li
0.5000 0.5000 0.5000 Li
0.4877 0.1262 0.2275 Li
0.9004 0.1288 0.0643 Li
0.9003 0.6288 0.0642 Li
0.5000 0.0000 0.5000 Li
0.5000 0.2500 0.5000 Li
0.5000 0.7500 0.5000 Li
0.4877 0.6262 0.2274 Li
0.5124 0.3739 0.7725 Li
0.3925 0.6186 0.9017 P
0.6075 0.3815 0.0982 P
0.9287 0.8767 0.5863 P
0.6074 0.8814 0.0982 P
0.0712 0.1233 0.4137 P
0.3927 0.1186 0.9018 P
0.9287 0.3767 0.5863 P
0.0712 0.6233 0.4138 P
0.0251 0.3795 0.2760 Mn
0.9746 0.6205 0.7240 Mn
0.9747 0.1204 0.7239 Mn
0.0249 0.8796 0.2761 Mn
```



No. 4
Density functional theory data (PBE with a Hubbard U) for a geometry-optimized Na2DyMoPO8 structure.

Results
DFT formation energy (eV per atom): -2.774
ρ (Mg/m³): 3.98
Energy with MP2020 corrections (eV per atom): -7.63
Symmetry: Ibca (73)

Cell and atoms, written as POSCAR:
```
Na2DyMoPO8
1.0
-3.4789 6.1096 9.1041
3.4789 -6.1096 9.1041
3.4789 6.1096 -9.1041
Na Dy Mo P O
8 4 4 4 32
Direct
0.0972 0.6631 0.4538 Na
0.2093 0.1631 0.0660 Na
0.2907 0.3566 0.9538 Na
0.4028 0.8566 0.5660 Na
0.5972 0.1434 0.4340 Na
0.7093 0.6434 0.0462 Na
0.7907 0.8369 0.9340 Na
0.9028 0.3369 0.5462 Na
0.1779 0.7500 0.9279 Dy
0.3221 0.2500 0.5721 Dy
0.6779 0.7500 0.4279 Dy
0.8221 0.2500 0.0721 Dy
0.0720 0.8220 0.2500 Mo
0.4280 0.6780 0.7500 Mo
0.5720 0.3220 0.2500 Mo
0.9280 0.1780 0.7500 Mo
0.0692 0.2500 0.3192 P
0.4308 0.7500 0.1808 P
0.5692 0.2500 0.8192 P
0.9308 0.7500 0.6808 P
0.0615 0.3308 0.2562 O
0.0746 0.8308 0.7693 O
0.1016 0.1904 0.8283 O
0.1042 0.6694 0.0158 O
0.1379 0.7268 0.3283 O
0.1404 0.4164 0.5728 O
0.1536 0.0884 0.4842 O
0.1564 0.0836 0.2240 O
0.3436 0.5676 0.9272 O
0.3464 0.8306 0.9348 O
0.3596 0.9324 0.2760 O
0.3621 0.6904 0.5889 O
0.3958 0.4116 0.5652 O
0.3984 0.2268 0.0889 O
0.4254 0.1947 0.7562 O
0.4385 0.6947 0.2693 O
0.5615 0.3053 0.7307 O
0.5746 0.8053 0.2438 O
0.6016 0.7732 0.9111 O
0.6042 0.5884 0.4348 O
0.6379 0.3096 0.4111 O
0.6404 0.0676 0.7240 O
0.6536 0.1694 0.0652 O
0.6564 0.4324 0.0728 O
0.8436 0.9164 0.7760 O
0.8464 0.9116 0.5158 O
0.8596 0.5836 0.4272 O
0.8621 0.2732 0.6717 O
0.8958 0.3306 0.9842 O
0.8984 0.8096 0.1717 O
0.9254 0.1692 0.2307 O
0.9385 0.6692 0.7438 O
```



No. 5
Density functional theory data (PBE with a Hubbard U) for a geometry-optimized MnH8Cl2O4 structure.

Results
DFT formation energy (eV per atom): -0.961
Relative energy among the computed polymorphs (eV per atom): 0.311
ρ (Mg/m³): 1.71
Energy with MP2020 corrections (eV per atom): -4.95
Symmetry: P2_1/c (14)

Cell and atoms, written as POSCAR:
```
MnH8Cl2O4
1.0
7.0946 0.0000 0.0000
0.0000 10.1654 0.0000
-4.6285 0.0000 10.6797
Mn H Cl O
4 32 8 16
Direct
0.2224 0.2314 0.2528 Mn
0.2224 0.2686 0.7528 Mn
0.7776 0.7314 0.2472 Mn
0.7776 0.7686 0.7472 Mn
0.0176 0.6426 0.1179 H
0.0176 0.8574 0.6179 H
0.0911 0.5492 0.2381 H
0.0911 0.9508 0.7381 H
0.2483 0.7451 0.2917 H
0.2483 0.7549 0.7917 H
0.3012 0.6796 0.5716 H
0.3012 0.8204 0.0716 H
0.3870 0.5285 0.8358 H
0.3870 0.9715 0.3358 H
0.3944 0.6366 0.5885 H
0.3944 0.8634 0.0885 H
0.3970 0.1957 0.0648 H
0.3970 0.3043 0.5648 H
0.4443 0.5781 0.0920 H
0.4443 0.9219 0.5920 H
0.5557 0.0781 0.4080 H
0.5557 0.4219 0.9080 H
0.6030 0.6957 0.4352 H
0.6030 0.8043 0.9352 H
0.6056 0.1366 0.9115 H
0.6056 0.3634 0.4115 H
0.6130 0.0285 0.6642 H
0.6130 0.4715 0.1642 H
0.6988 0.1796 0.9284 H
0.6988 0.3204 0.4284 H
0.7517 0.2451 0.2083 H
0.7517 0.2549 0.7083 H
0.9089 0.0492 0.2619 H
0.9089 0.4508 0.7619 H
0.9824 0.1426 0.3821 H
0.9824 0.3574 0.8821 H
0.0032 0.6622 0.9352 Cl
0.0032 0.8378 0.4352 Cl
0.2296 0.0986 0.8968 Cl
0.2296 0.4014 0.3968 Cl
0.7704 0.5986 0.6032 Cl
0.7704 0.9014 0.1032 Cl
0.9968 0.1622 0.5648 Cl
0.9968 0.3378 0.0648 Cl
0.0444 0.6394 0.2091 O
0.0444 0.8606 0.7091 O
0.3661 0.6957 0.8414 O
0.3661 0.8043 0.3414 O
0.4116 0.0676 0.3519 O
0.4116 0.4324 0.8519 O
0.4572 0.2273 0.1540 O
0.4572 0.2727 0.6540 O
0.5428 0.7273 0.3460 O
0.5428 0.7727 0.8460 O
0.5884 0.5676 0.1481 O
0.5884 0.9324 0.6481 O
0.6339 0.1957 0.6586 O
0.6339 0.3043 0.1586 O
0.9556 0.1394 0.2909 O
0.9556 0.3606 0.7909 O
```



No. 6
Density functional theory data (PBE with a Hubbard U) for a geometry-optimized TmCoO3 structure.

Results
DFT formation energy (eV per atom): -2.644
ρ (Mg/m³): 8.49
Energy with MP2020 corrections (eV per atom): -7.93
Symmetry: Pnma (62)

Cell and atoms, written as POSCAR:
```
TmCoO3
1.0
5.7088 0.0000 0.0000
0.0000 7.3609 0.0000
0.0000 0.0000 5.1361
Tm Co O
4 4 12
Direct
0.0894 0.2500 0.0249 Tm
0.4106 0.7500 0.5249 Tm
0.5894 0.2500 0.4751 Tm
0.9106 0.7500 0.9751 Tm
0.0000 0.0000 0.5000 Co
0.0000 0.5000 0.5000 Co
0.5000 0.0000 0.0000 Co
0.5000 0.5000 0.0000 Co
0.0358 0.7500 0.3843 O
0.1796 0.5558 0.8046 O
0.1796 0.9442 0.8046 O
0.3204 0.0558 0.3046 O
0.3204 0.4442 0.3046 O
0.4642 0.2500 0.8843 O
0.5358 0.7500 0.1157 O
0.6796 0.5558 0.6954 O
0.6796 0.9442 0.6954 O
0.8204 0.0558 0.1954 O
0.8204 0.4442 0.1954 O
0.9642 0.2500 0.6157 O
```



Which value of ρ does entry 3 give? 3.06 Mg/m³